The following is a DFT calculation (GGA+U) of a relaxed Li4Mn3CuP4O16 crystal.

Cell: 4.7872 10.4442 6.1644 Å, 90.00 90.00 91.08°
Closest atoms and distances in Å follow each position.
Fractional positions:
Li (0.5010, 0.5029, 0.0001)  6 O 2.13-2.23
O (0.2803, 0.1632, 0.4505)  1 P 1.57
P (0.0811, 0.5937, 0.2500)  4 O 1.53-1.58
P (0.4104, 0.0933, 0.2500)  4 O 1.54-1.57
O (0.2073, 0.4576, 0.2500)  1 P 1.55
P (0.5851, 0.9010, 0.7500)  4 O 1.56
Mn (0.9741, 0.2805, 0.2500)  6 O 2.14-2.29
Li (0.9976, 0.9943, 0.9990)  6 O 2.11-2.29
O (0.7830, 0.3423, 0.5500)  1 P 1.57
O (0.2803, 0.1632, 0.0495)  1 P 1.57
Mn (0.4788, 0.2179, 0.7500)  6 O 2.15-2.29
Li (0.9976, 0.9943, 0.5010)  6 O 2.11-2.29
P (0.9210, 0.4118, 0.7500)  4 O 1.54-1.57
O (0.2600, 0.8938, 0.7500)  1 P 1.56
O (0.2162, 0.6662, 0.4496)  1 P 1.58
O (0.7830, 0.3423, 0.9500)  1 P 1.57
O (0.7611, 0.5930, 0.2500)  1 P 1.53
O (0.7146, 0.8364, 0.9538)  1 P 1.56
Mn (0.5198, 0.7806, 0.2500)  6 O 2.13-2.29
O (0.7026, 0.0415, 0.7500)  1 P 1.56
Cu (0.0483, 0.7135, 0.7500)  4 O 2.03-2.12
O (0.8078, 0.5515, 0.7500)  1 P 1.57
Li (0.5010, 0.5029, 0.4999)  6 O 2.13-2.23
O (0.2843, 0.9553, 0.2500)  1 P 1.55
O (0.2413, 0.4067, 0.7500)  1 P 1.54
O (0.7316, 0.0977, 0.2500)  1 P 1.54
O (0.7146, 0.8364, 0.5462)  1 P 1.56
O (0.2162, 0.6662, 0.0504)  1 P 1.58

Results
- uncorrected energy (eV for the cell shown) = -194.56
- formation energy from the elements (eV per atom) = -2.519
- ρ (Mg/m³) = 3.4